(1)
An optimized crystal structure of K2NaDyCl6. Source: the Materials Project, functional PBE.

a = 10.724 Å, b = 10.724 Å, c = 10.724 Å
α = 90.00°, β = 90.00°, γ = 90.00°
Space group Fm-3m (No. 225)
Unique sites:
K (0.250, 0.250, 0.250) [8 per cell]
Na (0.000, 0.000, 0.000) [4 per cell]
Dy (0.000, 0.000, 0.500) [4 per cell]
Cl (0.000, 0.000, 0.255) [24 per cell]

Summary:
* magnetization: 0.000 μB per atom
* formation energy: -55.970 kcal/mol of atoms

***

(2)
An optimized crystal structure of LiDy2Cl5. Source: the Materials Project, functional PBE.

a = 15.363 Å, b = 6.409 Å, c = 7.340 Å
α = 90.00°, β = 93.08°, γ = 90.00°
Space group C2/c (No. 15)
Unique sites:
Li (0.250, 0.250, 0.000) [4 per cell]
Dy (0.075, 0.190, 0.569) [8 per cell]
Cl (0.000, 0.121, 0.250) [4 per cell]
Cl (0.090, 0.405, 0.902) [8 per cell]
Cl (0.204, 0.055, 0.331) [8 per cell]

Summary:
* magnetization: 0.000 μB per atom
* formation energy: -49.630 kcal/mol of atoms

***

(3)
An optimized crystal structure of Rb2LiDyCl6. Source: the Materials Project, functional PBE.

a = 10.471 Å, b = 10.471 Å, c = 10.471 Å
α = 90.00°, β = 90.00°, γ = 90.00°
Space group Fm-3m (No. 225)
Unique sites:
Rb (0.250, 0.250, 0.250) [8 per cell]
Li (0.000, 0.000, 0.000) [4 per cell]
Dy (0.000, 0.000, 0.500) [4 per cell]
Cl (0.000, 0.000, 0.248) [24 per cell]

Summary:
* magnetization: 0.000 μB per atom
* formation energy: -56.816 kcal/mol of atoms

***

(4)
An optimized crystal structure of Na3DyCl6. Source: the Materials Project, functional PBE.

a = 6.856 Å, b = 7.346 Å, c = 12.308 Å
α = 90.00°, β = 122.79°, γ = 90.00°
Space group P2_1/c (No. 14)
Unique sites:
Na (0.000, 0.000, 0.000) [2 per cell]
Na (0.205, 0.095, 0.744) [4 per cell]
Dy (0.500, 0.000, 0.500) [2 per cell]
Cl (0.113, 0.177, 0.428) [4 per cell]
Cl (0.256, 0.693, 0.423) [4 per cell]
Cl (0.407, 0.058, 0.263) [4 per cell]

Summary:
* formation energy: -54.495 kcal/mol of atoms

***

Q: Among the records above, which one has the highest formation energy?
A: LiDy2Cl5

***

Q: Which of these has the highest formation energy?
A: LiDy2Cl5

***

Q: Which of these has the highest formation energy?
A: LiDy2Cl5